NaMnO4 | PBE+U | optimized geometry

Cell and atoms, written as CIF:
```
data_NaMnO4
_space_group_name_H-M_alt 'C m c m'
_space_group_IT_number 63
_space_group_name_Hall '-C 2c 2'
_cell_length_a 5.886
_cell_length_b 9.067
_cell_length_c 7.046
_cell_angle_alpha 90.00
_cell_angle_beta 90.00
_cell_angle_gamma 90.00
loop_
_atom_site_label
_atom_site_type_symbol
_atom_site_fract_x
_atom_site_fract_y
_atom_site_fract_z
Na1 Na 0.000 0.000 0.000
Mn1 Mn 0.000 0.361 0.250
O1 O 0.000 0.260 0.063
O2 O 0.226 0.465 0.250
```

Output
Energy of formation from the pure elements = -1387 meV per atom
Energy = -5.697 eV/atom
Polymorph energy (0 for the lowest one) = 0 kJ/mol of formula units
Total magnetic moment = 0.00 μB per formula unit